The following is a GGA+U calculation of a relaxed structure of MgMn6O8F4, from the Materials Project.

Structure (POSCAR):
```
MgMn6O8F4
1.0
-2.736 2.439 3.870
-3.039 0.341 -4.279
-3.854 -7.806 2.233
Mg Mn O F
1 6 8 4
Cartesian
-4.196 -4.899 -0.803
-3.023 0.316 -4.073
-4.260 -2.181 -3.362
-5.254 -2.741 5.136
-6.080 -5.149 1.728
-3.488 0.048 -0.020
-4.745 -2.410 1.004
-4.907 -3.428 -1.997
-5.561 -6.900 2.234
-3.014 -1.717 0.691
-4.331 -4.377 1.111
-7.814 -5.865 1.942
-5.260 -0.686 0.393
-6.567 -3.287 1.243
-3.416 0.925 3.320
-3.516 -0.529 -2.161
-6.028 -5.806 -1.007
-4.987 -1.918 3.169
-6.050 -4.170 4.006
```

Results
Uncorrected energy (eV/atom): -6.8072
ΔE to the lowest computed polymorph (eV/atom): 0.057
Energy of formation (kcal/mol of atoms): -52.0